# 1
Below is a relaxed Pr2SiS5 crystal, with properties calculated at the PBE level.

Unit cell a=7.610 b=12.605 c=7.873 alpha=90.00 beta=101.27 gamma=90.00
Space group P2_1/c (No. 14)
Inequivalent atoms, fractional coordinates:
Pr1 0.160 0.164 0.132
Pr2 0.240 0.594 0.042
Si1 0.333 0.616 0.594
S1 0.131 0.704 0.693
S2 0.136 0.122 0.497
S3 0.175 0.529 0.386
S4 0.421 0.003 0.280
S5 0.473 0.228 0.952

Summary:
Its formation enthalpy at 0 K is -1.870 eV/atom. The total energy comes out at -6.015 eV/atom. For the MP2020-corrected energy, the calculation gives -6.329 eV per atom.


# 2
Below is a relaxed Mg14AlCu crystal, with properties calculated at the PBE level.

Unit cell a=10.216 b=6.237 c=10.768 alpha=90.00 beta=90.00 gamma=90.00
Space group Amm2 (No. 38)
Inequivalent atoms, fractional coordinates:
Mg1 0.000 0.000 0.000
Mg2 0.000 0.000 0.500
Mg3 0.000 0.250 0.251
Mg4 0.253 0.000 0.165
Mg5 0.259 0.000 0.663
Mg6 0.266 0.248 0.421
Mg7 0.500 0.250 0.247
Al1 0.500 0.000 0.004
Cu1 0.500 0.000 0.503

Summary:
The calculation puts the size of the total moment at 0.00 μB/cell. Its formation enthalpy at 0 K is 0.016 eV/atom. The total energy comes out at -1.875 eV/atom.


# 3
Below is a relaxed Na6Hf7ZnSi6S6O48 crystal, with properties calculated at the PBE level.

Unit cell a=8.955 b=15.593 c=23.133 alpha=90.09 beta=90.05 gamma=90.07
Space group P1 (No. 1)
Inequivalent atoms, fractional coordinates:
Na1 0.000 0.000 0.000
Na2 0.000 0.664 0.686
Na3 0.006 0.337 0.840
Na4 0.013 0.676 0.180
Na5 0.138 0.495 0.258
Na6 0.178 0.198 0.265
Na7 0.311 0.691 0.764
Na8 0.344 0.998 0.765
Na9 0.503 0.837 0.849
Na10 0.505 0.830 0.338
Na11 0.510 0.177 0.677
Na12 0.511 0.514 0.009
Na13 0.518 0.187 0.183
Na14 0.525 0.507 0.509
Na15 0.643 0.000 0.264
Na16 0.677 0.688 0.260
Na17 0.993 0.021 0.510
Na18 0.998 0.333 0.335
Hf1 0.007 0.670 0.828
Hf2 0.010 0.008 0.661
Hf3 0.015 0.004 0.868
Hf4 0.495 0.506 0.868
Hf5 0.501 0.503 0.164
Hf6 0.501 0.504 0.657
Hf7 0.503 0.172 0.328
Hf8 0.503 0.835 0.986
Hf9 0.504 0.166 0.828
Hf10 0.506 0.165 0.530
Hf11 0.506 0.507 0.361
Hf12 0.509 0.165 0.030
Hf13 0.510 0.836 0.487
Hf14 0.988 0.664 0.533
Hf15 0.991 0.010 0.368
Hf16 0.993 0.674 0.322
Hf17 0.994 0.338 0.989
Hf18 0.995 0.000 0.159
Hf19 0.995 0.329 0.495
Hf20 0.998 0.337 0.699
Hf21 0.999 0.669 0.025
Zn1 0.491 0.839 0.696
Zn2 0.503 0.827 0.199
Zn3 0.993 0.336 0.206
Si1 0.147 0.856 0.759
Si2 0.150 0.152 0.764
Si3 0.208 0.502 0.762
Si4 0.209 0.172 0.428
Si5 0.292 0.668 0.929
Si6 0.355 0.652 0.262
Si7 0.358 0.024 0.929
Si8 0.361 0.356 0.262
Si9 0.646 0.023 0.427
Si10 0.705 0.665 0.428
Si11 0.795 0.501 0.262
Si12 0.796 0.170 0.927
Si13 0.850 0.188 0.598
Si14 0.853 0.149 0.260
Si15 0.855 0.860 0.261
Si16 0.856 0.480 0.595
Si17 0.857 0.524 0.927
Si18 0.860 0.815 0.927
S1 0.146 0.525 0.429
S2 0.147 0.813 0.431
S3 0.149 0.483 0.096
S4 0.151 0.191 0.097
S5 0.213 0.837 0.097
S6 0.289 0.003 0.262
S7 0.292 0.337 0.595
S8 0.356 0.692 0.596
S9 0.356 0.981 0.596
S10 0.358 0.313 0.930
S11 0.644 0.359 0.762
S12 0.646 0.316 0.430
S13 0.646 0.983 0.097
S14 0.647 0.647 0.761
S15 0.651 0.689 0.096
S16 0.709 0.338 0.096
S17 0.712 0.003 0.762
S18 0.789 0.836 0.597
O1 0.075 0.440 0.436
O2 0.075 0.760 0.764
O3 0.077 0.246 0.755
O4 0.080 0.903 0.701
O5 0.081 0.104 0.819
O6 0.082 0.899 0.424
O7 0.083 0.571 0.090
O8 0.084 0.771 0.483
O9 0.086 0.102 0.099
O10 0.087 0.235 0.045
O11 0.088 0.567 0.377
O12 0.095 0.445 0.150
O13 0.103 0.258 0.435
O14 0.104 0.418 0.756
O15 0.110 0.429 0.045
O16 0.112 0.591 0.765
O17 0.112 0.760 0.092
O18 0.113 0.083 0.424
O19 0.114 0.581 0.481
O20 0.118 0.917 0.100
O21 0.120 0.920 0.814
O22 0.124 0.238 0.150
O23 0.124 0.760 0.379
O24 0.125 0.089 0.706
O25 0.175 0.653 0.271
O26 0.180 0.016 0.926
O27 0.181 0.347 0.257
O28 0.187 0.654 0.985
O29 0.190 0.988 0.598
O30 0.193 0.016 0.210
O31 0.193 0.682 0.587
O32 0.195 0.324 0.938
O33 0.198 0.992 0.314
O34 0.200 0.350 0.543
O35 0.201 0.326 0.648
O36 0.201 0.683 0.869
O37 0.304 0.829 0.150
O38 0.308 0.845 0.045
O39 0.311 0.183 0.369
O40 0.311 0.516 0.427
O41 0.312 0.822 0.439
O42 0.317 0.491 0.096
O43 0.318 0.182 0.089
O44 0.320 0.166 0.485
O45 0.322 0.493 0.817
O46 0.322 0.514 0.705
O47 0.333 0.846 0.755
O48 0.335 0.158 0.768
O49 0.378 0.085 0.266
O50 0.380 0.589 0.205
O51 0.381 0.738 0.650
O52 0.382 0.261 0.878
O53 0.389 0.415 0.601
O54 0.390 0.262 0.590
O55 0.392 0.416 0.319
O56 0.392 0.931 0.255
O57 0.395 0.926 0.546
O58 0.397 0.086 0.984
O59 0.399 0.583 0.924
O60 0.399 0.752 0.938
O61 0.418 0.947 0.650
O62 0.419 0.069 0.588
O63 0.423 0.273 0.982
O64 0.424 0.736 0.546
O65 0.425 0.604 0.598
O66 0.427 0.068 0.870
O67 0.428 0.399 0.924
O68 0.431 0.259 0.267
O69 0.433 0.745 0.257
O70 0.436 0.402 0.205
O71 0.436 0.931 0.938
O72 0.437 0.606 0.317
O73 0.564 0.930 0.437
O74 0.572 0.274 0.765
O75 0.572 0.731 0.756
O76 0.574 0.400 0.426
O77 0.578 0.603 0.097
O78 0.581 0.066 0.368
O79 0.583 0.072 0.091
O80 0.583 0.604 0.812
O81 0.584 0.403 0.710
O82 0.588 0.273 0.482
O83 0.589 0.737 0.046
O84 0.589 0.948 0.151
O85 0.599 0.750 0.437
O86 0.602 0.580 0.427
O87 0.605 0.262 0.089
O88 0.610 0.929 0.755
O89 0.610 0.930 0.047
O90 0.612 0.084 0.483
O91 0.613 0.410 0.814
O92 0.614 0.594 0.708
O93 0.615 0.083 0.765
O94 0.616 0.417 0.097
O95 0.618 0.264 0.378
O96 0.624 0.735 0.151
O97 0.667 0.181 0.592
O98 0.670 0.149 0.266
O99 0.674 0.493 0.602
O100 0.674 0.854 0.256
O101 0.678 0.506 0.919
O102 0.680 0.824 0.938
O103 0.687 0.164 0.985
O104 0.687 0.523 0.206
O105 0.689 0.189 0.871
O106 0.690 0.490 0.319
O107 0.692 0.844 0.544
O108 0.698 0.821 0.648
O109 0.797 0.325 0.148
O110 0.802 0.994 0.814
O111 0.805 0.015 0.709
O112 0.806 0.345 0.043
O113 0.806 0.680 0.370
O114 0.808 0.350 0.757
O115 0.810 0.654 0.764
O116 0.811 0.326 0.434
O117 0.814 0.993 0.099
O118 0.816 0.679 0.091
O119 0.818 0.659 0.484
O120 0.826 0.010 0.425
O121 0.881 0.583 0.985
O122 0.882 0.914 0.599
O123 0.886 0.756 0.871
O124 0.888 0.085 0.205
O125 0.890 0.760 0.588
O126 0.891 0.084 0.921
O127 0.893 0.247 0.653
O128 0.893 0.424 0.537
O129 0.894 0.591 0.269
O130 0.896 0.919 0.317
O131 0.905 0.254 0.938
O132 0.910 0.424 0.257
O133 0.923 0.091 0.602
O134 0.923 0.233 0.540
O135 0.924 0.763 0.267
O136 0.926 0.436 0.652
O137 0.929 0.103 0.317
O138 0.929 0.568 0.870
O139 0.930 0.903 0.203
O140 0.931 0.578 0.589
O141 0.931 0.770 0.985
O142 0.931 0.910 0.920
O143 0.932 0.240 0.255
O144 0.938 0.430 0.938

Summary:
The calculation puts the size of the total moment at 0.00 μB/cell. Its formation enthalpy at 0 K is -2.865 eV/atom. The total energy comes out at -7.470 eV/atom. For the MP2020-corrected energy, the calculation gives -7.915 eV per atom.


# 4
Below is a relaxed Ba2MgSi2O7 crystal, with properties calculated at the PBE level.

Unit cell a=8.513 b=10.913 c=8.565 alpha=90.00 beta=110.82 gamma=90.00
Space group C2/c (No. 15)
Inequivalent atoms, fractional coordinates:
Ba1 0.227 0.043 0.475
Mg1 0.000 0.257 0.750
Si1 0.113 0.283 0.135
O1 0.000 0.333 0.250
O2 0.025 0.351 0.954
O3 0.110 0.134 0.131
O4 0.200 0.156 0.772

Summary:
The calculation puts the size of the total moment at 0.00 μB/cell. Its formation enthalpy at 0 K is -3.362 eV/atom. The total energy comes out at -7.205 eV/atom. For the MP2020-corrected energy, the calculation gives -7.606 eV per atom.


# 5
Below is a relaxed CsEuCl3 crystal, with properties calculated at the PBE level.

Unit cell a=5.683 b=5.683 c=5.683 alpha=90.00 beta=90.00 gamma=90.00
Space group Pm-3m (No. 221)
Inequivalent atoms, fractional coordinates:
Cs1 0.000 0.000 0.000
Eu1 0.500 0.500 0.500
Cl1 0.000 0.500 0.500

Summary:
Its formation enthalpy at 0 K is -2.604 eV/atom. The total energy comes out at -5.576 eV/atom. For the MP2020-corrected energy, the calculation gives -5.944 eV per atom.


# 6
Below is a relaxed SiO2 crystal, with properties calculated at the PBE level.

Unit cell a=12.090 b=12.090 c=12.090 alpha=90.00 beta=90.00 gamma=90.00
Space group Ia-3 (No. 206)
Inequivalent atoms, fractional coordinates:
Si1 0.005 0.124 0.305
O1 0.000 0.250 0.022
O2 0.000 0.250 0.250
O3 0.112 0.112 0.872

Summary:
The calculation puts the size of the total moment at 0.00 μB/cell. Its formation enthalpy at 0 K is -3.017 eV/atom. The total energy comes out at -7.666 eV/atom. For the MP2020-corrected energy, the calculation gives -8.124 eV per atom.


# 7
Below is a relaxed BaClF crystal, with properties calculated at the PBE level.

Unit cell a=4.461 b=4.461 c=7.349 alpha=90.00 beta=90.00 gamma=90.00
Space group P4/nmm (No. 129, origin choice 2)
Inequivalent atoms, fractional coordinates:
Ba1 0.250 0.250 0.206
Cl1 0.250 0.250 0.647
F1 0.250 0.750 0.000

Summary:
Its formation enthalpy at 0 K is -3.397 eV/atom. The total energy comes out at -5.137 eV/atom. For the MP2020-corrected energy, the calculation gives -5.291 eV per atom.


# 8
Below is a relaxed PrAl4Co crystal, with properties calculated at the PBE level.

Unit cell a=7.675 b=4.033 c=6.905 alpha=90.00 beta=90.00 gamma=90.00
Space group Pmma (No. 51)
Inequivalent atoms, fractional coordinates:
Pr1 0.250 0.000 0.116
Al1 0.000 0.000 0.500
Al2 0.071 0.500 0.799
Al3 0.250 0.500 0.458
Co1 0.250 0.000 0.683

Summary:
Its formation enthalpy at 0 K is -0.506 eV/atom. The total energy comes out at -4.985 eV/atom.